First-principles (PBE) data for a relaxed structure of K2OsCl4O2, as listed in Materials Project.

Unit cell a=6.7393 b=6.7393 c=6.7393 alpha=115.16 beta=115.16 gamma=98.61
With the nearest neighbours (Å) after each atom.
Element x y z (fractional)
K  0.2500  0.7500  0.5000  8 Cl 3.37, 4 O 3.64
K  0.7500  0.2500  0.5000  8 Cl 3.37, 4 O 3.64
Os  0.0000  0.0000  0.0000  2 O 1.76
Cl  0.2365  0.2365  0.4730  1 Os 2.42
Cl  0.2365  0.7635  0.0000  1 Os 2.42
Cl  0.7635  0.2365  0.0000  1 Os 2.42
Cl  0.7635  0.7635  0.5270  1 Os 2.42
O  0.1998  0.1998  0.0000  1 Os 1.76
O  0.8002  0.8002  0.0000  1 Os 1.76

- size of the total moment (μB/atom) = 0.00

=====

First-principles (PBE) data for a relaxed structure of Na3ScF6, as listed in Materials Project.

Unit cell a=5.6526 b=5.8822 c=9.9237 alpha=90.00 beta=123.92 gamma=90.00
With the nearest neighbours (Å) after each atom.
Element x y z (fractional)
Na  0.0000  0.0000  0.0000  6 F 2.26-2.38
Na  0.0000  0.5000  0.5000  6 F 2.26-2.38
Na  0.2246  0.0552  0.7412  4 F 2.33-2.37
Na  0.2246  0.4448  0.2412  4 F 2.33-2.37
Na  0.7754  0.5552  0.7588  4 F 2.33-2.37
Na  0.7754  0.9448  0.2588  4 F 2.33-2.37
Sc  0.5000  0.0000  0.5000  6 F 2.03-2.05
Sc  0.5000  0.5000  0.0000  6 F 2.03-2.05
F  0.1503  0.1787  0.4456  1 Sc 2.03, 1 Na 2.26
F  0.1503  0.3213  0.9456  1 Sc 2.03, 1 Na 2.26
F  0.2513  0.7148  0.4212  1 Sc 2.04
F  0.2513  0.7852  0.9212  1 Sc 2.04
F  0.3964  0.0676  0.2709  1 Sc 2.05
F  0.3964  0.4324  0.7709  1 Sc 2.05
F  0.6036  0.5676  0.2291  1 Sc 2.05
F  0.6036  0.9324  0.7291  1 Sc 2.05
F  0.7487  0.2148  0.0788  1 Sc 2.04
F  0.7487  0.2852  0.5788  1 Sc 2.04
F  0.8497  0.6787  0.0544  1 Sc 2.03, 1 Na 2.26
F  0.8497  0.8213  0.5544  1 Sc 2.03, 1 Na 2.26

=====

First-principles (PBE) data for a relaxed structure of SnF2, as listed in Materials Project.

Unit cell a=7.1719 b=7.1719 c=14.2004 alpha=106.91 beta=106.91 gamma=41.96
With the nearest neighbours (Å) after each atom.
Element x y z (fractional)
Sn  0.1157  0.1248  0.1859  3 F 2.10-2.34
Sn  0.1248  0.1157  0.6859  3 F 2.10-2.34
Sn  0.3495  0.3955  0.0568  3 F 2.13-2.21
Sn  0.3955  0.3495  0.5568  3 F 2.13-2.21
Sn  0.6045  0.6505  0.4432  3 F 2.13-2.21
Sn  0.6505  0.6045  0.9432  3 F 2.13-2.21
Sn  0.8752  0.8843  0.3141  3 F 2.10-2.34
Sn  0.8843  0.8752  0.8141  3 F 2.10-2.34
F  0.0162  0.4844  0.6962  1 Sn 2.10
F  0.0256  0.3212  0.0383  1 Sn 2.13
F  0.0999  0.6719  0.1786  2 Sn 2.16-2.25
F  0.3066  0.6215  0.4143  2 Sn 2.21-2.34
F  0.3212  0.0256  0.5383  1 Sn 2.13
F  0.3281  0.9001  0.3214  2 Sn 2.16-2.25
F  0.3785  0.6934  0.0857  2 Sn 2.21-2.34
F  0.4844  0.0162  0.1962  1 Sn 2.10
F  0.5156  0.9838  0.8038  1 Sn 2.10
F  0.6215  0.3066  0.9143  2 Sn 2.21-2.34
F  0.6719  0.0999  0.6786  2 Sn 2.16-2.25
F  0.6788  0.9744  0.4617  1 Sn 2.13
F  0.6934  0.3785  0.5857  2 Sn 2.21-2.34
F  0.9001  0.3281  0.8214  2 Sn 2.16-2.25
F  0.9744  0.6788  0.9617  1 Sn 2.13
F  0.9838  0.5156  0.3038  1 Sn 2.10

=====

First-principles (PBE) data for a relaxed structure of BaCaTbNbO6, as listed in Materials Project.

Unit cell a=6.0043 b=6.0043 c=6.0043 alpha=60.00 beta=60.00 gamma=60.00
With the nearest neighbours (Å) after each atom.
Element x y z (fractional)
Ba  0.0000  0.0000  0.0000  12 O 3.00
Ca  0.5000  0.5000  0.5000  12 O 3.00
Tb  0.2500  0.2500  0.2500  6 O 2.23
Nb  0.7500  0.7500  0.7500  6 O 2.01
O  0.5131  0.5131  0.9869  1 Nb 2.01, 1 Tb 2.23
O  0.5131  0.9869  0.5131  1 Nb 2.01, 1 Tb 2.23
O  0.5131  0.9869  0.9869  1 Nb 2.01, 1 Tb 2.23
O  0.9869  0.5131  0.5131  1 Nb 2.01, 1 Tb 2.23
O  0.9869  0.5131  0.9869  1 Nb 2.01, 1 Tb 2.23
O  0.9869  0.9869  0.5131  1 Nb 2.01, 1 Tb 2.23

- size of the total moment (μB/atom) = 0.00

=====

First-principles (PBE) data for a relaxed structure of CePu4Co3, as listed in Materials Project.

Unit cell a=7.9267 b=7.9267 c=7.9267 alpha=107.03 beta=88.23 gamma=137.57
With the nearest neighbours (Å) after each atom.
Element x y z (fractional)
Ce  0.2500  0.2500  0.0000  4 Co 2.81, 2 Ce 2.87
Ce  0.7500  0.7500  0.0000  4 Co 2.81, 2 Ce 2.87
Pu  0.0800  0.2857  0.3657  3 Co 2.64-2.93, 1 Pu 2.82
Pu  0.2303  0.5938  0.8241  2 Co 2.45-2.65
Pu  0.2697  0.0938  0.3636  2 Co 2.45-2.65
Pu  0.4200  0.7857  0.2057  3 Co 2.64-2.93, 1 Pu 2.82
Pu  0.5800  0.2143  0.7943  3 Co 2.64-2.93, 1 Pu 2.82
Pu  0.7303  0.9062  0.6364  2 Co 2.45-2.65
Pu  0.7697  0.4062  0.1759  2 Co 2.45-2.65
Pu  0.9200  0.7143  0.6343  3 Co 2.64-2.93, 1 Pu 2.82
Co  0.1665  0.8416  0.0081  2 Pu 2.45-2.65
Co  0.2500  0.7500  0.5000  4 Pu 2.64, 2 Co 2.87
Co  0.3335  0.3416  0.6751  2 Pu 2.45-2.65
Co  0.6665  0.6584  0.3249  2 Pu 2.45-2.65
Co  0.7500  0.2500  0.5000  4 Pu 2.64, 2 Co 2.87
Co  0.8335  0.1584  0.9919  2 Pu 2.45-2.65

- size of the total moment (μB/atom) = 1.19

=====

First-principles (PBE) data for a relaxed structure of Ba2LiTmCu3O7, as listed in Materials Project.

Unit cell a=3.7525 b=3.9907 c=14.0569 alpha=90.00 beta=90.00 gamma=90.00
With the nearest neighbours (Å) after each atom.
Element x y z (fractional)
Ba  0.0000  0.0000  0.0000  6 O 2.71-2.74
Ba  0.0000  0.0000  0.2918  8 O 2.75-3.05
Li  0.0000  0.0000  0.7432  4 O 2.06-2.14
Tm  0.0000  0.0000  0.5556  6 O 2.23-2.47
Cu  0.5000  0.5000  0.1406  4 O 1.91-2.00
Cu  0.5000  0.5000  0.4482  4 O 1.94-2.01
Cu  0.5000  0.5000  0.6895  4 O 1.89-2.01
O  0.0000  0.5000  0.4845  2 Cu 1.94
O  0.0000  0.5000  0.7063  2 Cu 1.89, 2 Li 2.06
O  0.5000  0.0000  0.1391  2 Cu 2.00
O  0.5000  0.0000  0.4630  2 Cu 2.01
O  0.5000  0.0000  0.6696  2 Cu 2.01, 2 Li 2.14
O  0.5000  0.5000  0.0039  1 Cu 1.92
O  0.5000  0.5000  0.2761  1 Cu 1.91

- size of the total moment (μB/atom) = 0.00

=====

First-principles (PBE) data for a relaxed structure of Mn5CoN4, as listed in Materials Project.

Unit cell a=6.0630 b=6.6236 c=4.7022 alpha=90.00 beta=90.00 gamma=90.00
With the nearest neighbours (Å) after each atom.
Element x y z (fractional)
Mn  0.0228  0.0550  0.2486  3 N 1.92-1.98
Mn  0.0228  0.4450  0.2486  3 N 1.92-1.98
Mn  0.2500  0.2500  0.7805  4 N 1.88-1.97
Mn  0.4772  0.0550  0.2486  3 N 1.92-1.98
Mn  0.4772  0.4450  0.2486  3 N 1.92-1.98
Mn  0.5228  0.5550  0.7514  3 N 1.92-1.98
Mn  0.5228  0.9450  0.7514  3 N 1.92-1.98
Mn  0.7500  0.7500  0.2195  4 N 1.88-1.97
Mn  0.9772  0.5550  0.7514  3 N 1.92-1.98
Mn  0.9772  0.9450  0.7514  3 N 1.92-1.98
Co  0.2500  0.7500  0.3500  4 N 1.92-1.95
Co  0.7500  0.2500  0.6500  4 N 1.92-1.95
N  0.0297  0.7500  0.0468  3 Mn 1.88-1.92, 1 Co 1.95
N  0.2500  0.0058  0.5415  1 Co 1.92, 5 Mn 1.97-1.98
N  0.2500  0.4942  0.5415  1 Co 1.92, 5 Mn 1.97-1.98
N  0.4703  0.7500  0.0468  3 Mn 1.88-1.92, 1 Co 1.95
N  0.5297  0.2500  0.9532  3 Mn 1.88-1.92, 1 Co 1.95
N  0.7500  0.5058  0.4585  1 Co 1.92, 5 Mn 1.97-1.98
N  0.7500  0.9942  0.4585  1 Co 1.92, 5 Mn 1.97-1.98
N  0.9703  0.2500  0.9532  3 Mn 1.88-1.92, 1 Co 1.95

- size of the total moment (μB/atom) = 0.68

=====

First-principles (PBE) data for a relaxed structure of Nb12Al3In, as listed in Materials Project.

Unit cell a=5.2477 b=5.2616 c=10.4307 alpha=90.00 beta=90.00 gamma=90.00
With the nearest neighbours (Å) after each atom.
Element x y z (fractional)
Nb  0.0000  0.0000  0.1251  2 Nb 2.55-2.61
Nb  0.0000  0.0000  0.3691  2 Nb 2.55-2.73
Nb  0.0000  0.0000  0.6309  2 Nb 2.55-2.73
Nb  0.0000  0.0000  0.8749  2 Nb 2.55-2.61
Nb  0.2385  0.5000  0.5000  2 Nb 2.50-2.74
Nb  0.2586  0.5000  0.0000  2 Nb 2.53-2.71
Nb  0.5000  0.2563  0.2430  2 Nb 2.56-2.70, 1 Al 2.87
Nb  0.5000  0.2563  0.7570  2 Nb 2.56-2.70, 1 Al 2.87
Nb  0.5000  0.7437  0.2430  2 Nb 2.56-2.70, 1 Al 2.87
Nb  0.5000  0.7437  0.7570  2 Nb 2.56-2.70, 1 Al 2.87
Nb  0.7414  0.5000  0.0000  2 Nb 2.53-2.71
Nb  0.7615  0.5000  0.5000  2 Nb 2.50-2.74
Al  0.0000  0.5000  0.2503  12 Nb 2.89-2.94
Al  0.0000  0.5000  0.7497  12 Nb 2.89-2.94
Al  0.5000  0.0000  0.0000  12 Nb 2.87-2.93
In  0.5000  0.0000  0.5000  12 Nb 2.96-3.00

- size of the total moment (μB/atom) = 0.00

=====

E_form list, top to bottom, in kJ/mol of formula units: -1243 -3399 -743 -3227 260 -2853 -224 -186